[1]
VASP calculation (GGA-PBE) on an optimized crystal structure of SnP.

a = 3.8644 Å, b = 3.8644 Å, c = 6.1011 Å
α = 90.00°, β = 90.00°, γ = 90.00°
Sites, in units of the cell vectors:
Sn 0.0000 0.0000 0.0000
Sn 0.5000 0.5000 0.5000
P 0.0000 0.0000 0.4319
P 0.5000 0.5000 0.9319

Computed properties:
* uncorrected energy: -4.7080 eV per atom
* space-group type: No. 107
* ΔE_f: 0.003 eV/atom

[2]
VASP calculation (GGA-PBE) on an optimized crystal structure of Sn16P15.

a = 4.6633 Å, b = 5.4132 Å, c = 36.8579 Å
α = 89.53°, β = 86.45°, γ = 72.92°
Sites, in units of the cell vectors:
Sn 0.0000 0.0000 0.0000
Sn 0.0044 0.2492 0.8409
Sn 0.0978 0.1593 0.2268
Sn 0.1365 0.2860 0.1344
Sn 0.2263 0.3128 0.7092
Sn 0.3748 0.3637 0.9990
Sn 0.3886 0.5737 0.8503
Sn 0.4013 0.7495 0.7460
Sn 0.4271 0.4698 0.6289
Sn 0.4505 0.5234 0.4966
Sn 0.5532 0.7243 0.3470
Sn 0.7038 0.8361 0.2429
Sn 0.7435 0.8731 0.6448
Sn 0.7529 0.9557 0.1401
Sn 0.8265 0.9154 0.4908
Sn 0.8743 0.1345 0.3767
P 0.0795 0.6284 0.1858
P 0.1496 0.4126 0.3322
P 0.1581 0.4583 0.0682
P 0.1788 0.5471 0.5639
P 0.2398 0.1307 0.9034
P 0.2468 0.1583 0.4710
P 0.3132 0.5065 0.9254
P 0.3326 0.1379 0.4137
P 0.4721 0.9342 0.8092
P 0.7883 0.9683 0.7137
P 0.8300 0.9330 0.5631
P 0.8704 0.4363 0.2867
P 0.9317 0.8511 0.0710
P 0.9574 0.8978 0.9295
P 0.9750 0.2324 0.5925

Computed properties:
* uncorrected energy: -4.4184 eV per atom
* space-group type: No. 1
* ΔE_f: 0.270 eV/atom

[3]
VASP calculation (GGA-PBE) on an optimized crystal structure of SnP3.

a = 5.6070 Å, b = 5.6070 Å, c = 5.6070 Å
α = 83.85°, β = 83.85°, γ = 83.85°
Sites, in units of the cell vectors:
Sn 0.2427 0.2427 0.2427
Sn 0.7573 0.7573 0.7573
P 0.2466 0.7008 0.7008
P 0.2992 0.2992 0.7534
P 0.2992 0.7534 0.2992
P 0.7008 0.2466 0.7008
P 0.7008 0.7008 0.2466
P 0.7534 0.2992 0.2992

Computed properties:
* uncorrected energy: -5.0677 eV per atom
* space-group type: No. 166
* ΔE_f: -0.005 eV/atom

[4]
VASP calculation (GGA-PBE) on an optimized crystal structure of Sr3Sn2P4.

a = 14.1985 Å, b = 14.1985 Å, c = 18.9032 Å
α = 90.00°, β = 90.00°, γ = 53.23°
Sites, in units of the cell vectors:
Sr 0.0000 0.0000 0.0000
Sr 0.0000 0.0000 0.5000
Sr 0.0340 0.4543 0.6274
Sr 0.0457 0.4660 0.8726
Sr 0.0644 0.9356 0.7713
Sr 0.1192 0.2182 0.2406
Sr 0.1266 0.7070 0.1319
Sr 0.1753 0.1753 0.0000
Sr 0.2070 0.6266 0.6319
Sr 0.2182 0.1192 0.7594
Sr 0.2818 0.3808 0.2594
Sr 0.2930 0.8734 0.1319
Sr 0.3247 0.3247 0.5000
Sr 0.3734 0.7930 0.6319
Sr 0.3808 0.2818 0.7406
Sr 0.4356 0.5644 0.2713
Sr 0.4543 0.0340 0.3726
Sr 0.4660 0.0457 0.1274
Sr 0.5000 0.5000 0.0000
Sr 0.5000 0.5000 0.5000
Sr 0.5340 0.9543 0.8726
Sr 0.5457 0.9660 0.6274
Sr 0.5644 0.4356 0.7287
Sr 0.6192 0.7182 0.2594
Sr 0.6266 0.2070 0.3681
Sr 0.6753 0.6753 0.5000
Sr 0.7070 0.1266 0.8681
Sr 0.7182 0.6192 0.7406
Sr 0.7818 0.8808 0.2406
Sr 0.7930 0.3734 0.3681
Sr 0.8247 0.8247 0.0000
Sr 0.8734 0.2930 0.8681
Sr 0.8808 0.7818 0.7594
Sr 0.9356 0.0644 0.2287
Sr 0.9543 0.5340 0.1274
Sr 0.9660 0.5457 0.3726
Sn 0.0637 0.7656 0.3217
Sn 0.0963 0.2276 0.4390
Sn 0.1275 0.7083 0.9354
Sn 0.2083 0.6275 0.4354
Sn 0.2276 0.0963 0.5610
Sn 0.2344 0.9363 0.3217
Sn 0.2656 0.5637 0.8217
Sn 0.2724 0.4037 0.0610
Sn 0.2917 0.8725 0.9354
Sn 0.3725 0.7917 0.4354
Sn 0.4037 0.2724 0.9390
Sn 0.4363 0.7344 0.8217
Sn 0.5637 0.2656 0.1783
Sn 0.5963 0.7276 0.0610
Sn 0.6275 0.2083 0.5646
Sn 0.7083 0.1275 0.0646
Sn 0.7276 0.5963 0.9390
Sn 0.7344 0.4363 0.1783
Sn 0.7656 0.0637 0.6783
Sn 0.7724 0.9037 0.4390
Sn 0.7917 0.3725 0.5646
Sn 0.8725 0.2917 0.0646
Sn 0.9037 0.7724 0.5610
Sn 0.9363 0.2344 0.6783
P 0.0347 0.1193 0.3645
P 0.0350 0.6363 0.2485
P 0.0581 0.1157 0.1156
P 0.0805 0.5888 0.0103
P 0.0888 0.5805 0.5103
P 0.1157 0.0581 0.8844
P 0.1193 0.0347 0.6355
P 0.1363 0.5350 0.7485
P 0.1841 0.8159 0.2494
P 0.2055 0.2862 0.3732
P 0.2138 0.2945 0.1268
P 0.2499 0.7501 0.0129
P 0.2501 0.7499 0.5129
P 0.2862 0.2055 0.6268
P 0.2945 0.2138 0.8732
P 0.3159 0.6841 0.7494
P 0.3637 0.9650 0.2485
P 0.3807 0.4653 0.1355
P 0.3843 0.4419 0.3844
P 0.4112 0.9195 0.0103
P 0.4195 0.9112 0.5103
P 0.4419 0.3843 0.6156
P 0.4653 0.3807 0.8645
P 0.4650 0.8637 0.7485
P 0.5350 0.1363 0.2515
P 0.5347 0.6193 0.1355
P 0.5581 0.6157 0.3844
P 0.5805 0.0888 0.4897
P 0.5888 0.0805 0.9897
P 0.6157 0.5581 0.6156
P 0.6193 0.5347 0.8645
P 0.6363 0.0350 0.7515
P 0.6841 0.3159 0.2506
P 0.7055 0.7862 0.1268
P 0.7138 0.7945 0.3732
P 0.7499 0.2501 0.4871
P 0.7501 0.2499 0.9871
P 0.7862 0.7055 0.8732
P 0.7945 0.7138 0.6268
P 0.8159 0.1841 0.7506
P 0.8637 0.4650 0.2515
P 0.8807 0.9653 0.3645
P 0.8843 0.9419 0.1156
P 0.9112 0.4195 0.4897
P 0.9195 0.4112 0.9897
P 0.9419 0.8843 0.8844
P 0.9650 0.3637 0.7515
P 0.9653 0.8807 0.6355

Computed properties:
* uncorrected energy: -4.6325 eV per atom
* space-group type: No. 64
* ΔE_f: -0.772 eV/atom